<i>
An optimized crystal structure of Mg, computed with meta-GGA r2SCAN. Values from VASP.

```
&SYSTEM
  ibrav = 0, nat = 9, ntyp = 1
/
ATOMIC_SPECIES
Mg 24.30 Mg.upf
ATOMIC_POSITIONS crystal
Mg 0.000 0.000 0.778
Mg 0.000 0.000 0.000
Mg 0.333 0.667 0.445
Mg 0.667 0.333 0.333
Mg 0.667 0.333 0.555
Mg 0.667 0.333 0.111
Mg 0.333 0.667 0.667
Mg 0.000 0.000 0.222
Mg 0.333 0.667 0.889
CELL_PARAMETERS angstrom
-0.789 -2.976 0.817
2.650 0.540 -1.683
12.005 2.199 19.612
```

- M_tot: 0.0 Bohr magnetons per cell

***

<ii>
An optimized crystal structure of Mg, computed with meta-GGA r2SCAN. Values from VASP.

```
&SYSTEM
  ibrav = 0, nat = 1, ntyp = 1
/
ATOMIC_SPECIES
Mg 24.30 Mg.upf
ATOMIC_POSITIONS crystal
Mg 0.000 0.000 0.000
CELL_PARAMETERS angstrom
2.895 0.000 -1.024
-1.447 2.507 -1.024
0.000 0.000 3.071
```

- M_tot: 0.0 Bohr magnetons per cell

***

<iii>
An optimized crystal structure of Mg, computed with meta-GGA r2SCAN. Values from VASP.

```
&SYSTEM
  ibrav = 0, nat = 2, ntyp = 1
/
ATOMIC_SPECIES
Mg 24.30 Mg.upf
ATOMIC_POSITIONS crystal
Mg 0.333 0.667 0.250
Mg 0.667 0.333 0.750
CELL_PARAMETERS angstrom
3.172 0.000 0.000
-1.586 2.747 0.000
0.000 0.000 5.141
```

- M_tot: 0.0 Bohr magnetons per cell

***

Q: Which of them is the most stable? A: <iii>.

***

<i>
An optimized crystal structure of F, computed with meta-GGA r2SCAN. Values from VASP.

```
&SYSTEM
  ibrav = 0, nat = 4, ntyp = 1
/
ATOMIC_SPECIES
F 19.00 F.upf
ATOMIC_POSITIONS crystal
F 0.382 0.382 0.595
F 0.118 0.118 0.095
F 0.882 0.882 0.905
F 0.618 0.618 0.405
CELL_PARAMETERS angstrom
3.071 -0.013 0.000
-1.005 2.902 0.000
0.000 0.000 5.992
```

- M_tot: 0.1 Bohr magnetons per cell

***

<ii>
An optimized crystal structure of F, computed with meta-GGA r2SCAN. Values from VASP.

```
&SYSTEM
  ibrav = 0, nat = 4, ntyp = 1
/
ATOMIC_SPECIES
F 19.00 F.upf
ATOMIC_POSITIONS crystal
F 0.643 0.831 0.790
F 0.831 0.643 0.290
F 0.169 0.357 0.710
F 0.357 0.169 0.210
CELL_PARAMETERS angstrom
-1.564 -2.859 0.890
-3.256 -0.602 -0.666
-0.735 -3.789 -4.696
```

- M_tot: 0.0 Bohr magnetons per cell

***

Q: Which of them is the most stable? A: <i>.

***

<i>
An optimized crystal structure of Ba3Cr2O8, computed with meta-GGA r2SCAN. Values from VASP.

```
&SYSTEM
  ibrav = 0, nat = 26, ntyp = 3
/
ATOMIC_SPECIES
O 16.00 O.upf
Cr 52.00 Cr.upf
Ba 137.33 Ba.upf
ATOMIC_POSITIONS crystal
O 0.383 0.283 0.346
O 0.104 0.733 0.651
Cr 0.705 0.409 0.889
O 0.123 0.730 0.150
Ba 0.897 0.796 0.309
Ba 0.603 0.208 0.191
O 0.157 0.295 0.506
O 0.835 0.640 0.494
O 0.394 0.279 0.850
O 0.624 0.730 0.650
Ba 0.397 0.795 0.809
O 0.876 0.757 0.849
O 0.116 0.246 0.153
Cr 0.795 0.593 0.611
O 0.896 0.281 0.348
O 0.349 0.649 0.994
Cr 0.297 0.594 0.111
O 0.603 0.733 0.153
Cr 0.203 0.408 0.389
O 0.376 0.757 0.350
Ba 0.502 0.023 0.500
O 0.883 0.284 0.845
O 0.615 0.245 0.655
Ba 0.103 0.208 0.691
Ba 0.993 0.018 0.000
O 0.671 0.305 0.006
CELL_PARAMETERS angstrom
5.556 0.355 -1.503
-3.915 3.318 -2.626
1.236 12.519 7.633
```

- M_tot: 4.0 Bohr magnetons per cell

***

<ii>
An optimized crystal structure of Ba3Cr2O8, computed with meta-GGA r2SCAN. Values from VASP.

```
&SYSTEM
  ibrav = 0, nat = 13, ntyp = 3
/
ATOMIC_SPECIES
O 16.00 O.upf
Cr 52.00 Cr.upf
Ba 137.33 Ba.upf
ATOMIC_POSITIONS crystal
O 0.726 0.726 0.244
O 0.756 0.274 0.274
O 0.274 0.274 0.756
O 0.274 0.756 0.274
Cr 0.593 0.593 0.593
Ba 0.000 0.000 0.000
O 0.726 0.244 0.726
Cr 0.407 0.407 0.407
O 0.671 0.671 0.671
O 0.329 0.329 0.329
Ba 0.206 0.206 0.206
O 0.244 0.726 0.726
Ba 0.794 0.794 0.794
CELL_PARAMETERS angstrom
5.372 0.005 5.801
2.276 4.866 5.801
0.007 0.005 7.906
```

- M_tot: 2.0 Bohr magnetons per cell

***

Q: Which of them is the most stable? A: <i>.

***

<i>
An optimized crystal structure of Sn, computed with meta-GGA r2SCAN. Values from VASP.

```
&SYSTEM
  ibrav = 0, nat = 1, ntyp = 1
/
ATOMIC_SPECIES
Sn 118.71 Sn.upf
ATOMIC_POSITIONS crystal
Sn 0.000 0.000 0.000
CELL_PARAMETERS angstrom
3.183 -0.165 -0.912
-1.847 2.598 -0.912
0.091 0.165 3.310
```

- M_tot: 0.0 Bohr magnetons per cell

***

<ii>
An optimized crystal structure of Sn, computed with meta-GGA r2SCAN. Values from VASP.

```
&SYSTEM
  ibrav = 0, nat = 46, ntyp = 1
/
ATOMIC_SPECIES
Sn 118.71 Sn.upf
ATOMIC_POSITIONS crystal
Sn 0.816 0.816 0.816
Sn 0.000 0.692 0.883
Sn 0.684 0.316 0.684
Sn 0.184 0.816 0.816
Sn 0.684 0.684 0.316
Sn 0.383 0.192 0.500
Sn 0.816 0.816 0.184
Sn 0.117 0.000 0.692
Sn 0.316 0.684 0.684
Sn 0.184 0.184 0.184
Sn 0.816 0.184 0.816
Sn 0.184 0.184 0.816
Sn 0.000 0.500 0.750
Sn 0.617 0.808 0.500
Sn 0.000 0.308 0.117
Sn 0.684 0.316 0.316
Sn 0.692 0.883 0.000
Sn 0.883 0.000 0.692
Sn 0.250 0.000 0.500
Sn 0.184 0.816 0.184
Sn 0.816 0.184 0.184
Sn 0.808 0.500 0.617
Sn 0.308 0.117 0.000
Sn 0.883 0.000 0.308
Sn 0.316 0.316 0.684
Sn 0.808 0.500 0.383
Sn 0.192 0.500 0.383
Sn 0.500 0.383 0.192
Sn 0.500 0.250 0.000
Sn 0.750 0.000 0.500
Sn 0.192 0.500 0.617
Sn 0.316 0.316 0.316
Sn 0.316 0.684 0.316
Sn 0.000 0.500 0.250
Sn 0.617 0.192 0.500
Sn 0.500 0.750 0.000
Sn 0.383 0.808 0.500
Sn 0.500 0.383 0.808
Sn 0.308 0.883 0.000
Sn 0.000 0.692 0.117
Sn 0.692 0.117 0.000
Sn 0.684 0.684 0.684
Sn 0.117 0.000 0.308
Sn 0.500 0.617 0.808
Sn 0.500 0.617 0.192
Sn 0.000 0.308 0.883
CELL_PARAMETERS angstrom
12.234 0.000 0.000
0.000 12.234 0.000
0.000 0.000 12.234
```

- M_tot: 0.0 Bohr magnetons per cell

***

Q: Which of them is the most stable? A: <ii>.

***

<i>
An optimized crystal structure of Hg, computed with meta-GGA r2SCAN. Values from VASP.

```
&SYSTEM
  ibrav = 0, nat = 2, ntyp = 1
/
ATOMIC_SPECIES
Hg 200.59 Hg.upf
ATOMIC_POSITIONS crystal
Hg 0.333 0.667 0.250
Hg 0.667 0.333 0.750
CELL_PARAMETERS angstrom
1.726 2.937 0.616
-3.057 0.097 -1.621
-2.548 0.484 4.836
```

- M_tot: 0.0 Bohr magnetons per cell

***

<ii>
An optimized crystal structure of Hg, computed with meta-GGA r2SCAN. Values from VASP.

```
&SYSTEM
  ibrav = 0, nat = 4, ntyp = 1
/
ATOMIC_SPECIES
Hg 200.59 Hg.upf
ATOMIC_POSITIONS crystal
Hg 0.375 0.874 0.999
Hg 0.875 0.376 0.001
Hg 0.126 0.125 0.501
Hg 0.624 0.625 0.499
CELL_PARAMETERS angstrom
4.195 2.005 -2.678
-2.645 -0.376 -4.653
-2.123 2.655 4.151
```

- M_tot: 0.0 Bohr magnetons per cell

***

Q: Which of them is the most stable? A: <ii>.

***

<i>
An optimized crystal structure of Hg, computed with meta-GGA r2SCAN. Values from VASP.

```
&SYSTEM
  ibrav = 0, nat = 4, ntyp = 1
/
ATOMIC_SPECIES
Hg 200.59 Hg.upf
ATOMIC_POSITIONS crystal
Hg 0.001 0.631 0.738
Hg 0.499 0.131 0.738
Hg 0.501 0.869 0.262
Hg 0.999 0.369 0.262
CELL_PARAMETERS angstrom
2.139 -0.932 2.458
-1.993 3.992 3.248
-4.953 -1.655 3.682
```

- M_tot: 0.0 Bohr magnetons per cell

***

<ii>
An optimized crystal structure of Hg, computed with meta-GGA r2SCAN. Values from VASP.

```
&SYSTEM
  ibrav = 0, nat = 2, ntyp = 1
/
ATOMIC_SPECIES
Hg 200.59 Hg.upf
ATOMIC_POSITIONS crystal
Hg 0.250 0.250 0.750
Hg 0.750 0.750 0.250
CELL_PARAMETERS angstrom
1.111 3.066 -2.519
-2.222 0.848 -3.365
-1.757 1.134 3.949
```

- M_tot: 0.0 Bohr magnetons per cell

***

Q: Which of them is the most stable? A: <i>.